(1)
Below is CeMgCu2 after structural relaxation, with properties calculated at the GGA-PBE level.

The formation enthalpy at 0 K comes out at -2.8 kcal/mol of atoms. The total energy comes out at -4.05 eV per atom.

abc: 4.6013 4.6013 8.4129
angles: 90.00 90.00 120.00
Space group P6_3/mmc (No. 194)
One atom of each set of equivalent atoms:
Ce: 0.3333 0.6667 0.2500 (multiplicity 2)
Mg: 0.0000 0.0000 0.0000 (multiplicity 2)
Cu: 0.3333 0.6667 0.5891 (multiplicity 4)

---

(2)
Below is CeMg2Cu9 after structural relaxation, with properties calculated at the GGA-PBE level.

The formation enthalpy at 0 K comes out at -3.0 kcal/mol of atoms. The total energy comes out at -3.97 eV per atom. The value obtained for the total magnetic moment is 0.171 μB per atom.

abc: 5.0419 5.0419 16.1412
angles: 90.00 90.00 120.00
Space group P6_3/mmc (No. 194)
One atom of each set of equivalent atoms:
Ce: 0.3333 0.6667 0.2500 (multiplicity 2)
Mg: 0.3333 0.6667 0.0315 (multiplicity 4)
Cu: 0.0000 0.0000 0.0000 (multiplicity 2)
Cu: 0.0000 0.0000 0.2500 (multiplicity 2)
Cu: 0.1679 0.3358 0.6225 (multiplicity 12)
Cu: 0.3333 0.6667 0.7500 (multiplicity 2)

---

(3)
Below is CeMg14Cu after structural relaxation, with properties calculated at the GGA-PBE level.

The formation enthalpy at 0 K comes out at 1.6 kcal/mol of atoms. The total energy comes out at -1.96 eV per atom. The value obtained for the total magnetic moment is 0.002 μB per atom.

abc: 6.4632 6.4632 10.0690
angles: 90.00 90.00 120.00
Space group P-6m2 (No. 187)
One atom of each set of equivalent atoms:
Ce: 0.0000 0.0000 0.0000 (multiplicity 1)
Mg: 0.0134 0.5067 0.0000 (multiplicity 3)
Mg: 0.1638 0.3276 0.2625 (multiplicity 6)
Mg: 0.5014 0.0028 0.5000 (multiplicity 3)
Mg: 0.6667 0.3333 0.2427 (multiplicity 2)
Cu: 0.0000 0.0000 0.5000 (multiplicity 1)

---

(4)
Below is CeMn2Cu9 after structural relaxation, with properties calculated at the GGA-PBE level.

The formation enthalpy at 0 K comes out at 0.0 kcal/mol of atoms. The total energy comes out at -5.10 eV per atom. The value obtained for the total magnetic moment is 0.717 μB per atom.

abc: 8.289 8.289 4.908
angles: 90.00 90.00 90.00
Space group P4/mbm (No. 127)
One atom of each set of equivalent atoms:
Ce: 0.000 0.000 0.000 (multiplicity 2)
Mn: 0.116 0.384 0.000 (multiplicity 4)
Cu: 0.000 0.500 0.500 (multiplicity 2)
Cu: 0.065 0.210 0.500 (multiplicity 8)
Cu: 0.179 0.679 0.240 (multiplicity 8)

---

(5)
Below is Ce2Mn3Cu9 after structural relaxation, with properties calculated at the GGA-PBE level.

The formation enthalpy at 0 K comes out at 1.1 kcal/mol of atoms. The total energy comes out at -5.40 eV per atom. The value obtained for the total magnetic moment is 0.567 μB per atom.

abc: 4.927 9.346 8.881
angles: 90.00 90.00 90.00
Space group Cmm2 (No. 35)
One atom of each set of equivalent atoms:
Ce: 0.000 0.000 0.000 (multiplicity 2)
Ce: 0.000 0.500 0.494 (multiplicity 2)
Mn: 0.000 0.000 0.298 (multiplicity 2)
Mn: 0.000 0.500 0.188 (multiplicity 2)
Mn: 0.000 0.500 0.805 (multiplicity 2)
Cu: 0.000 0.000 0.689 (multiplicity 2)
Cu: 0.000 0.193 0.497 (multiplicity 4)
Cu: 0.000 0.304 0.997 (multiplicity 4)
Cu: 0.250 0.250 0.248 (multiplicity 4)
Cu: 0.250 0.250 0.746 (multiplicity 4)

---

(6)
Below is CeMn10Cu after structural relaxation, with properties calculated at the GGA-PBE level.

The formation enthalpy at 0 K comes out at 2.3 kcal/mol of atoms. The total energy comes out at -8.37 eV per atom. The value obtained for the total magnetic moment is 0.854 μB per atom.

abc: 11.585 11.635 4.743
angles: 90.00 90.00 90.00
Space group Cmm2 (No. 35)
One atom of each set of equivalent atoms:
Ce: 0.250 0.250 0.000 (multiplicity 4)
Mn: 0.000 0.000 0.504 (multiplicity 2)
Mn: 0.000 0.113 0.006 (multiplicity 4)
Mn: 0.000 0.322 0.268 (multiplicity 4)
Mn: 0.000 0.500 0.504 (multiplicity 2)
Mn: 0.108 0.171 0.498 (multiplicity 8)
Mn: 0.118 0.500 0.004 (multiplicity 4)
Mn: 0.177 0.000 0.236 (multiplicity 4)
Mn: 0.177 0.000 0.776 (multiplicity 4)
Mn: 0.177 0.395 0.500 (multiplicity 8)
Cu: 0.000 0.321 0.780 (multiplicity 4)

---

(7)
Below is CeCuN2 after structural relaxation, with properties calculated at the GGA-PBE level.

The formation enthalpy at 0 K comes out at -17.4 kcal/mol of atoms. The total energy comes out at -7.25 eV per atom. The value obtained for the total magnetic moment is 0.003 μB per atom.

abc: 3.917 3.917 3.264
angles: 90.00 90.00 90.00
Space group P4/mmm (No. 123)
One atom of each set of equivalent atoms:
Ce: 0.000 0.000 0.000 (multiplicity 1)
Cu: 0.500 0.500 0.500 (multiplicity 1)
N: 0.000 0.500 0.500 (multiplicity 2)

---

(8)
Below is Ce2CuN2O2 after structural relaxation, with properties calculated at the GGA-PBE level.

The calculation puts the distance to the lowest polymorph of the same formula at 204 meV per atom. The formation enthalpy at 0 K comes out at -42.2 kcal/mol of atoms. The total energy comes out at -7.71 eV per atom. The value obtained for the total magnetic moment is 0.005 μB per atom.

abc: 3.928 3.928 12.055
angles: 90.00 90.00 90.00
Space group I4/mmm (No. 139)
One atom of each set of equivalent atoms:
Ce: 0.000 0.000 0.151 (multiplicity 4)
Cu: 0.000 0.000 0.500 (multiplicity 2)
N: 0.000 0.500 0.250 (multiplicity 4)
O: 0.000 0.500 0.000 (multiplicity 4)

---

(9)
Below is Ce2CuN2O2 after structural relaxation, with properties calculated at the GGA-PBE level.

The calculation puts the distance to the lowest polymorph of the same formula at 0 meV per atom. The formation enthalpy at 0 K comes out at -46.9 kcal/mol of atoms. The total energy comes out at -7.91 eV per atom. The value obtained for the total magnetic moment is 0.000 μB per atom.

abc: 3.908 3.908 11.984
angles: 90.00 90.00 90.00
Space group I4/mmm (No. 139)
One atom of each set of equivalent atoms:
Ce: 0.000 0.000 0.140 (multiplicity 4)
Cu: 0.000 0.000 0.500 (multiplicity 2)
N: 0.000 0.500 0.000 (multiplicity 4)
O: 0.000 0.500 0.250 (multiplicity 4)

---

(10)
Below is NaCeCuTe4 after structural relaxation, with properties calculated at the GGA-PBE level.

The formation enthalpy at 0 K comes out at -23.3 kcal/mol of atoms. The total energy comes out at -4.19 eV per atom. The value obtained for the total magnetic moment is 0.100 μB per atom.

abc: 4.473 4.473 19.854
angles: 90.00 90.00 90.00
Space group P4/nmm (No. 129, origin choice 2)
One atom of each set of equivalent atoms:
Na: 0.250 0.250 0.126 (multiplicity 2)
Ce: 0.250 0.250 0.608 (multiplicity 2)
Cu: 0.250 0.750 0.000 (multiplicity 2)
Te: 0.250 0.250 0.439 (multiplicity 2)
Te: 0.250 0.250 0.922 (multiplicity 2)
Te: 0.250 0.750 0.268 (multiplicity 4)

---

(11)
Below is Sr8Ce5Nd3Cu2O24 after structural relaxation, with properties calculated at the GGA-PBE level.

The formation enthalpy at 0 K comes out at -68.9 kcal/mol of atoms. The total energy comes out at -6.99 eV per atom. The value obtained for the total magnetic moment is 0.024 μB per atom.

abc: 7.087 11.212 9.464
angles: 90.00 103.17 90.00
Space group Pm (No. 6)
One atom of each set of equivalent atoms:
Sr: 0.000 0.147 0.000 (multiplicity 2)
Sr: 0.320 0.229 0.589 (multiplicity 2)
Sr: 0.409 0.345 0.963 (multiplicity 2)
Sr: 0.782 0.329 0.704 (multiplicity 2)
Ce: 0.120 0.500 0.605 (multiplicity 1)
Ce: 0.322 0.000 0.355 (multiplicity 1)
Ce: 0.529 0.000 0.852 (multiplicity 1)
Ce: 0.901 0.500 0.082 (multiplicity 1)
Ce: 0.991 0.000 0.637 (multiplicity 1)
Nd: 0.433 0.500 0.316 (multiplicity 1)
Nd: 0.744 0.149 0.303 (multiplicity 2)
Cu: 0.979 0.348 0.343 (multiplicity 2)
O: 0.013 0.000 0.368 (multiplicity 1)
O: 0.089 0.500 0.343 (multiplicity 1)
O: 0.095 0.271 0.828 (multiplicity 2)
O: 0.213 0.000 0.836 (multiplicity 1)
O: 0.217 0.500 0.097 (multiplicity 1)
O: 0.226 0.000 0.139 (multiplicity 1)
O: 0.300 0.500 0.801 (multiplicity 1)
O: 0.328 0.000 0.595 (multiplicity 1)
O: 0.402 0.500 0.551 (multiplicity 1)
O: 0.448 0.202 0.361 (multiplicity 2)
O: 0.558 0.196 0.813 (multiplicity 2)
O: 0.618 0.500 0.149 (multiplicity 1)
O: 0.688 0.000 0.105 (multiplicity 1)
O: 0.706 0.000 0.479 (multiplicity 1)
O: 0.760 0.500 0.866 (multiplicity 1)
O: 0.815 0.500 0.542 (multiplicity 1)
O: 0.832 0.000 0.807 (multiplicity 1)
O: 0.862 0.289 0.152 (multiplicity 2)
O: 0.968 0.244 0.502 (multiplicity 2)

---

(12)
Below is Ce2Cu5Ni5 after structural relaxation, with properties calculated at the GGA-PBE level.

The formation enthalpy at 0 K comes out at -5.3 kcal/mol of atoms. The total energy comes out at -5.33 eV per atom. The value obtained for the total magnetic moment is 0.097 μB per atom.

abc: 3.944 5.027 8.653
angles: 90.00 90.00 90.00
Space group Pmmm (No. 47)
One atom of each set of equivalent atoms:
Ce: 0.000 0.000 0.000 (multiplicity 1)
Ce: 0.000 0.500 0.500 (multiplicity 1)
Cu: 0.000 0.000 0.332 (multiplicity 2)
Cu: 0.000 0.500 0.167 (multiplicity 2)
Cu: 0.500 0.000 0.500 (multiplicity 1)
Ni: 0.500 0.251 0.249 (multiplicity 4)
Ni: 0.500 0.500 0.000 (multiplicity 1)

---

(13)
Below is Sr4CeY3Cu4Ru2O20 after structural relaxation, with properties calculated at the GGA-PBE level.

The formation enthalpy at 0 K comes out at -57.7 kcal/mol of atoms. The total energy comes out at -6.98 eV per atom. The value obtained for the total magnetic moment is 0.019 μB per atom.

abc: 3.863 3.863 28.803
angles: 90.00 90.00 90.00
Space group P4mm (No. 99)
One atom of each set of equivalent atoms:
Sr: 0.000 0.000 0.000 (multiplicity 1)
Sr: 0.000 0.000 0.159 (multiplicity 1)
Sr: 0.500 0.500 0.490 (multiplicity 1)
Sr: 0.500 0.500 0.652 (multiplicity 1)
Ce: 0.000 0.000 0.868 (multiplicity 1)
Y: 0.000 0.000 0.284 (multiplicity 1)
Y: 0.500 0.500 0.365 (multiplicity 1)
Y: 0.500 0.500 0.779 (multiplicity 1)
Cu: 0.000 0.000 0.428 (multiplicity 1)
Cu: 0.000 0.000 0.718 (multiplicity 1)
Cu: 0.500 0.500 0.221 (multiplicity 1)
Cu: 0.500 0.500 0.931 (multiplicity 1)
Ru: 0.000 0.000 0.574 (multiplicity 1)
Ru: 0.500 0.500 0.075 (multiplicity 1)
O: 0.000 0.000 0.507 (multiplicity 1)
O: 0.000 0.000 0.643 (multiplicity 1)
O: 0.000 0.500 0.072 (multiplicity 2)
O: 0.000 0.500 0.223 (multiplicity 2)
O: 0.000 0.500 0.324 (multiplicity 2)
O: 0.000 0.500 0.426 (multiplicity 2)
O: 0.000 0.500 0.576 (multiplicity 2)
O: 0.000 0.500 0.726 (multiplicity 2)
O: 0.000 0.500 0.825 (multiplicity 2)
O: 0.000 0.500 0.922 (multiplicity 2)
O: 0.500 0.500 0.005 (multiplicity 1)
O: 0.500 0.500 0.141 (multiplicity 1)

---

(14)
Below is Sr2CeYCu2RuO10 after structural relaxation, with properties calculated at the GGA-PBE level.

The formation enthalpy at 0 K comes out at -58.7 kcal/mol of atoms. The total energy comes out at -7.01 eV per atom. The value obtained for the total magnetic moment is 0.079 μB per atom.

abc: 3.861 3.861 29.287
angles: 90.00 90.00 90.00
Space group I4mm (No. 107)
One atom of each set of equivalent atoms:
Sr: 0.000 0.000 0.000 (multiplicity 2)
Sr: 0.000 0.000 0.157 (multiplicity 2)
Ce: 0.000 0.000 0.287 (multiplicity 2)
Y: 0.000 0.000 0.875 (multiplicity 2)
Cu: 0.000 0.000 0.436 (multiplicity 2)
Cu: 0.000 0.000 0.724 (multiplicity 2)
Ru: 0.000 0.000 0.580 (multiplicity 2)
O: 0.000 0.000 0.511 (multiplicity 2)
O: 0.000 0.000 0.650 (multiplicity 2)
O: 0.000 0.500 0.081 (multiplicity 4)
O: 0.000 0.500 0.233 (multiplicity 4)
O: 0.000 0.500 0.329 (multiplicity 4)
O: 0.000 0.500 0.428 (multiplicity 4)

---

(15)
Below is Ce4Cu3S4O4 after structural relaxation, with properties calculated at the GGA-PBE level.

The formation enthalpy at 0 K comes out at -57.0 kcal/mol of atoms. The total energy comes out at -6.98 eV per atom. The value obtained for the total magnetic moment is 0.200 μB per atom.

abc: 5.485 5.485 16.591
angles: 90.00 90.00 90.00
Space group I-42m (No. 121)
One atom of each set of equivalent atoms:
Ce: 0.249 0.249 0.173 (multiplicity 8)
Cu: 0.000 0.000 0.000 (multiplicity 2)
Cu: 0.000 0.500 0.000 (multiplicity 4)
S: 0.249 0.249 0.916 (multiplicity 8)
O: 0.000 0.000 0.250 (multiplicity 4)
O: 0.000 0.500 0.250 (multiplicity 4)

---

(16)
Below is Ce2CuS2O after structural relaxation, with properties calculated at the GGA-PBE level.

The formation enthalpy at 0 K comes out at -22.1 kcal/mol of atoms. The total energy comes out at -5.54 eV per atom. The value obtained for the total magnetic moment is 0.341 μB per atom.

abc: 3.986 3.986 13.256
angles: 90.00 90.00 90.00
Space group P4/mmm (No. 123)
One atom of each set of equivalent atoms:
Ce: 0.000 0.000 0.157 (multiplicity 2)
Cu: 0.000 0.000 0.500 (multiplicity 1)
S: 0.000 0.000 0.341 (multiplicity 2)
O: 0.000 0.000 0.000 (multiplicity 1)

---

(17)
Below is CeCuSO after structural relaxation, with properties calculated at the GGA-PBE level.

The formation enthalpy at 0 K comes out at -51.9 kcal/mol of atoms. The total energy comes out at -6.73 eV per atom. The value obtained for the total magnetic moment is 0.250 μB per atom.

abc: 3.910 3.910 8.522
angles: 90.00 90.00 90.00
Space group P4/nmm (No. 129, origin choice 2)
One atom of each set of equivalent atoms:
Ce: 0.250 0.250 0.149 (multiplicity 2)
Cu: 0.250 0.750 0.500 (multiplicity 2)
S: 0.250 0.250 0.666 (multiplicity 2)
O: 0.250 0.750 0.000 (multiplicity 2)

---

(18)
Below is CeCuTeO after structural relaxation, with properties calculated at the GGA-PBE level.

The formation enthalpy at 0 K comes out at -45.1 kcal/mol of atoms. The total energy comes out at -6.31 eV per atom. The value obtained for the total magnetic moment is 0.250 μB per atom.

abc: 4.099 4.099 9.417
angles: 90.00 90.00 90.00
Space group P4/nmm (No. 129, origin choice 2)
One atom of each set of equivalent atoms:
Ce: 0.250 0.250 0.127 (multiplicity 2)
Cu: 0.250 0.750 0.500 (multiplicity 2)
Te: 0.250 0.250 0.681 (multiplicity 2)
O: 0.250 0.750 0.000 (multiplicity 2)